[1]
PBE+U Li4Ni7O2F14, relaxed; calculated total energy = -122.4 eV per cell; space group = C2/m
1.0
3.0246 5.1240 0.0000
-3.0246 5.1240 0.0000
0.0000 3.5268 9.9685
F O Ni Li
14 2 7 4
Cartesian
-1.6005 5.9970 6.3158
1.6005 7.7779 3.6527
-1.4951 9.6420 8.6960
1.6005 5.9970 6.3158
0.0000 1.8120 1.2255
0.0000 11.9629 8.7430
-1.6005 7.7779 3.6527
-1.4951 4.1329 1.2725
0.0000 8.6487 6.3178
0.0000 6.8022 8.8648
1.4951 4.1329 1.2725
0.0000 6.9726 1.1037
1.4951 9.6420 8.6960
0.0000 5.1262 3.6507
0.0000 10.2836 4.0490
0.0000 3.4913 5.9194
1.5123 4.3254 4.9842
0.0000 1.7634 4.9842
0.0000 3.5119 2.4146
-1.5123 2.5620 0.0000
0.0000 10.2629 7.5539
-1.5123 4.3254 4.9842
1.5123 2.5620 0.0000
0.0000 6.8562 6.9875
0.0000 10.1783 2.0894
0.0000 6.9186 2.9810
0.0000 3.5965 7.8791

***

[2]
PBE+U Fe2O3, relaxed; calculated total energy = -265.1 eV per cell; space group = P1
1.0
5.1426 0.0000 0.0000
0.0156 5.3832 0.0000
0.0037 0.1017 14.9012
Fe O
16 24
Cartesian
2.5881 1.0560 8.5317
0.0140 1.0692 13.8363
5.1376 4.0604 12.2356
2.5854 1.3988 12.2378
2.5725 4.0582 10.1446
2.5758 1.4091 4.7536
0.0211 1.3450 10.1314
0.0228 4.0757 4.8331
5.1381 3.7383 8.5239
2.5835 1.7486 1.1161
5.1537 4.4372 1.1371
2.5691 4.4271 6.3539
0.0113 1.7262 6.3365
2.5714 3.7786 13.8557
2.5824 4.1117 2.7085
0.0156 1.4205 2.6681
0.7666 3.6530 6.6593
0.7400 0.6838 11.8765
3.2743 2.0866 2.9945
1.7955 4.8584 4.4303
1.5743 0.2586 1.8436
3.6206 2.9698 5.5362
1.8185 0.9637 6.6744
4.3605 1.8549 8.1783
3.3756 4.5403 8.1857
1.0254 5.2212 9.2740
4.4237 3.3557 10.4726
0.7431 2.2180 4.4142
1.7986 1.8783 14.1637
1.5434 2.5487 9.2663
3.6295 5.2536 13.0632
1.0083 2.9540 1.8173
4.4537 4.7683 3.0652
4.1361 2.5570 13.0734
0.8053 4.5795 14.1797
3.3652 3.5344 0.7732
4.3897 0.8385 0.7753
1.8510 3.3661 11.8791
4.1582 0.2290 5.5535
3.2943 0.6659 10.4713

***

no.,corrected total energy (MP2020 scheme) (Ry per atom)
1,-0.40308
2,-0.58364